Record 1
# K3ScP2O8 | Materials Project | GGA-PBE | relaxed
# - total magnetization (μB/f.u.) = 0.0
# - E_form (eV/atom) = -2.952
data_K3ScP2O8
_chemical_formula_sum 'K9 Sc3 P6 O24'
_space_group_name_H-M_alt 'P -3'
_space_group_IT_number 147
_cell_length_a 9.5471
_cell_length_b 9.5471
_cell_length_c 7.7598
_cell_angle_alpha 90.00
_cell_angle_beta 90.00
_cell_angle_gamma 120.00
loop_
_space_group_symop_operation_xyz
'x,y,z'
'-x,-y,-z'
'-y,x-y,z'
'y,-x+y,-z'
'-x+y,-x,z'
'x-y,x,-z'
loop_
_atom_site_label
_atom_site_type_symbol
_atom_site_fract_x
_atom_site_fract_y
_atom_site_fract_z
K1 K 0.0000 0.0000 0.0000
K2 K 0.0004 0.3339 0.2490
K3 K 0.3333 0.6667 0.0024
Sc1 Sc 0.0000 0.0000 0.5000
Sc2 Sc 0.3333 0.6667 0.5308
P1 P 0.0128 0.6723 0.2771
O1 O 0.0060 0.1825 0.6589
O2 O 0.0666 0.6992 0.0887
O3 O 0.1449 0.6627 0.3883
O4 O 0.1528 0.4874 0.6991

=====

Record 2
# Mg2PO4F | Materials Project | GGA-PBE | relaxed
# - total magnetization (μB/f.u.) = 0.0
# - E_form (eV/atom) = -3.221
data_Mg2PO4F
_chemical_formula_sum 'Mg32 P16 O64 F16'
_space_group_name_H-M_alt 'P 1 21/c 1'
_space_group_IT_number 14
_cell_length_a 9.753
_cell_length_b 12.810
_cell_length_c 12.054
_cell_angle_alpha 90.00
_cell_angle_beta 108.23
_cell_angle_gamma 90.00
loop_
_space_group_symop_operation_xyz
'x,y,z'
'-x,-y,-z'
'-x,y+1/2,-z+1/2'
'x,-y+1/2,z+1/2'
loop_
_atom_site_label
_atom_site_type_symbol
_atom_site_fract_x
_atom_site_fract_y
_atom_site_fract_z
Mg1 Mg 0.035 0.070 0.401
Mg2 Mg 0.051 0.571 0.413
Mg3 Mg 0.195 0.233 0.687
Mg4 Mg 0.207 0.744 0.693
Mg5 Mg 0.290 0.505 0.808
Mg6 Mg 0.308 0.019 0.809
Mg7 Mg 0.454 0.182 0.081
Mg8 Mg 0.464 0.677 0.106
P1 P 0.118 0.175 0.925
P2 P 0.121 0.677 0.924
P3 P 0.379 0.572 0.576
P4 P 0.383 0.077 0.574
O1 O 0.016 0.231 0.382
O2 O 0.020 0.727 0.382
O3 O 0.021 0.587 0.940
O4 O 0.028 0.083 0.949
O5 O 0.186 0.144 0.829
O6 O 0.194 0.651 0.830
O7 O 0.238 0.201 0.041
O8 O 0.239 0.702 0.041
O9 O 0.259 0.047 0.463
O10 O 0.268 0.553 0.453
O11 O 0.298 0.595 0.665
O12 O 0.321 0.110 0.673
O13 O 0.474 0.166 0.545
O14 O 0.478 0.025 0.116
O15 O 0.482 0.663 0.567
O16 O 0.486 0.517 0.120
F1 F 0.086 0.050 0.245
F2 F 0.169 0.584 0.217
F3 F 0.331 0.162 0.279
F4 F 0.411 0.702 0.259

=====

Record 3
# LiSbP2O7 | Materials Project | GGA-PBE | relaxed
# - total magnetization (μB/f.u.) = 0.0
# - E_form (eV/atom) = -2.466
data_LiSbP2O7
_chemical_formula_sum 'Li4 Sb4 P8 O28'
_space_group_name_H-M_alt 'P 1 21/c 1'
_space_group_IT_number 14
_cell_length_a 7.167
_cell_length_b 8.696
_cell_length_c 9.908
_cell_angle_alpha 90.00
_cell_angle_beta 109.09
_cell_angle_gamma 90.00
loop_
_space_group_symop_operation_xyz
'x,y,z'
'-x,-y,-z'
'-x,y+1/2,-z+1/2'
'x,-y+1/2,z+1/2'
loop_
_atom_site_label
_atom_site_type_symbol
_atom_site_fract_x
_atom_site_fract_y
_atom_site_fract_z
Li1 Li 0.200 0.040 0.215
Sb1 Sb 0.246 0.009 0.750
P1 P 0.152 0.721 0.942
P2 P 0.401 0.242 0.033
O1 O 0.051 0.581 0.846
O2 O 0.052 0.628 0.383
O3 O 0.184 0.698 0.100
O4 O 0.320 0.115 0.588
O5 O 0.323 0.242 0.869
O6 O 0.362 0.721 0.914
O7 O 0.376 0.092 0.103

=====

Record 4
# YMg | Materials Project | GGA-PBE | relaxed
# - total magnetization (μB/f.u.) = 0.1
# - E_form (eV/atom) = 0.028
data_YMg
_chemical_formula_sum 'Y2 Mg2'
_space_group_name_H-M_alt 'P m m n'
_space_group_IT_number 59
_cell_length_a 3.764
_cell_length_b 5.503
_cell_length_c 5.538
_cell_angle_alpha 90.00
_cell_angle_beta 90.00
_cell_angle_gamma 90.00
loop_
_space_group_symop_operation_xyz
'x,y,z'
'-x,-y,-z'
'-x+1/2,-y+1/2,z'
'x+1/2,y+1/2,-z'
'x+1/2,-y,-z'
'-x+1/2,y,z'
'-x,y+1/2,-z'
'x,-y+1/2,z'
loop_
_atom_site_label
_atom_site_type_symbol
_atom_site_fract_x
_atom_site_fract_y
_atom_site_fract_z
Y1 Y 0.250 0.250 0.088
Mg1 Mg 0.250 0.750 0.417

=====

Record 5
# ScNbOs2 | Materials Project | GGA-PBE | relaxed
# - E_form (eV/atom) = -0.432
data_ScNbOs2
_chemical_formula_sum 'Sc4 Nb4 Os8'
_space_group_name_H-M_alt 'F m -3 m'
_space_group_IT_number 225
_space_group_name_Hall '-F 4 2 3'
_cell_length_a 6.405
_cell_length_b 6.405
_cell_length_c 6.405
_cell_angle_alpha 90.00
_cell_angle_beta 90.00
_cell_angle_gamma 90.00
loop_
_atom_site_label
_atom_site_type_symbol
_atom_site_fract_x
_atom_site_fract_y
_atom_site_fract_z
Sc1 Sc 0.000 0.000 0.000
Nb1 Nb 0.000 0.000 0.500
Os1 Os 0.250 0.250 0.250

=====

Record 6
# K5NaRuI2O22 | Materials Project | GGA-PBE | relaxed
# - total magnetization (μB/f.u.) = 8.0
# - E_form (eV/atom) = -0.445
data_K5NaRuI2O22
_chemical_formula_sum 'K20 Na4 Ru4 I8 O88'
_space_group_name_H-M_alt 'C 1 c 1'
_space_group_IT_number 9
_cell_length_a 27.257
_cell_length_b 7.353
_cell_length_c 11.834
_cell_angle_alpha 90.00
_cell_angle_beta 98.12
_cell_angle_gamma 90.00
loop_
_space_group_symop_operation_xyz
'x,y,z'
'x,-y,z+1/2'
'x+1/2,y+1/2,z'
'x+1/2,-y+1/2,z+1/2'
loop_
_atom_site_label
_atom_site_type_symbol
_atom_site_fract_x
_atom_site_fract_y
_atom_site_fract_z
K1 K 0.000 0.134 0.000
K2 K 0.015 0.292 0.688
K3 K 0.177 0.220 0.821
K4 K 0.189 0.339 0.503
K5 K 0.320 0.290 0.177
Na1 Na 0.384 0.212 0.545
Ru1 Ru 0.088 0.247 0.252
I1 I 0.191 0.223 0.167
I2 I 0.488 0.183 0.854
O1 O 0.010 0.339 0.204
O2 O 0.051 0.197 0.399
O3 O 0.060 0.040 0.202
O4 O 0.094 0.196 0.948
O5 O 0.095 0.470 0.305
O6 O 0.096 0.288 0.571
O7 O 0.119 0.305 0.117
O8 O 0.153 0.160 0.302
O9 O 0.176 0.020 0.614
O10 O 0.210 0.437 0.244
O11 O 0.214 0.296 0.037
O12 O 0.244 0.085 0.239
O13 O 0.287 0.179 0.468
O14 O 0.303 0.147 0.579
O15 O 0.310 0.314 0.422
O16 O 0.393 0.277 0.361
O17 O 0.408 0.104 0.756
O18 O 0.410 0.039 0.192
O19 O 0.420 0.475 0.654
O20 O 0.437 0.478 0.760
O21 O 0.461 0.283 0.973
O22 O 0.498 0.049 0.400

=====

Record 7
# AcSnHg2 | Materials Project | GGA-PBE | relaxed
# - E_form (eV/atom) = -0.418
data_AcSnHg2
_chemical_formula_sum 'Ac4 Sn4 Hg8'
_space_group_name_H-M_alt 'F m -3 m'
_space_group_IT_number 225
_space_group_name_Hall '-F 4 2 3'
_cell_length_a 7.723
_cell_length_b 7.723
_cell_length_c 7.723
_cell_angle_alpha 90.00
_cell_angle_beta 90.00
_cell_angle_gamma 90.00
loop_
_atom_site_label
_atom_site_type_symbol
_atom_site_fract_x
_atom_site_fract_y
_atom_site_fract_z
Ac1 Ac 0.000 0.000 0.000
Sn1 Sn 0.000 0.000 0.500
Hg1 Hg 0.250 0.250 0.250

=====

Record 8
# Ba3SbAs | Materials Project | GGA-PBE | relaxed
# - total magnetization (μB/f.u.) = 0.0
# - E_form (eV/atom) = -0.423
# - energy above the lowest structure with this stoichiometry (meV/atom) = 395
data_Ba3SbAs
_chemical_formula_sum 'Ba3 Sb1 As1'
_space_group_name_H-M_alt 'P m -3 m'
_space_group_IT_number 221
_space_group_name_Hall '-P 4 2 3'
_cell_length_a 6.493
_cell_length_b 6.493
_cell_length_c 6.493
_cell_angle_alpha 90.00
_cell_angle_beta 90.00
_cell_angle_gamma 90.00
loop_
_atom_site_label
_atom_site_type_symbol
_atom_site_fract_x
_atom_site_fract_y
_atom_site_fract_z
Ba1 Ba 0.000 0.000 0.500
Sb1 Sb 0.000 0.000 0.000
As1 As 0.500 0.500 0.500

=====

Record 9
# Zn7Sb2O12 | Materials Project | GGA-PBE | relaxed
# - total magnetization (μB/f.u.) = 0.0
# - E_form (eV/atom) = -1.818
# - energy above the lowest structure with this stoichiometry (meV/atom) = 4
data_Zn7Sb2O12
_chemical_formula_sum 'Zn14 Sb4 O24'
_space_group_name_H-M_alt 'P -1'
_space_group_IT_number 2
_cell_length_a 6.247
_cell_length_b 8.720
_cell_length_c 10.564
_cell_angle_alpha 113.50
_cell_angle_beta 106.18
_cell_angle_gamma 92.01
loop_
_space_group_symop_operation_xyz
'x,y,z'
'-x,-y,-z'
loop_
_atom_site_label
_atom_site_type_symbol
_atom_site_fract_x
_atom_site_fract_y
_atom_site_fract_z
Zn1 Zn 0.000 0.000 0.000
Zn2 Zn 0.052 0.458 0.165
Zn3 Zn 0.157 0.151 0.822
Zn4 Zn 0.167 0.172 0.331
Zn5 Zn 0.279 0.859 0.503
Zn6 Zn 0.324 0.321 0.651
Zn7 Zn 0.380 0.800 0.820
Zn8 Zn 0.500 0.500 0.500
Sb1 Sb 0.000 0.500 0.500
Sb2 Sb 0.332 0.839 0.171
Sb3 Sb 0.500 0.500 0.000
O1 O 0.000 0.266 0.499
O2 O 0.026 0.757 0.018
O3 O 0.131 0.929 0.834
O4 O 0.155 0.425 0.345
O5 O 0.177 0.902 0.321
O6 O 0.206 0.405 0.839
O7 O 0.309 0.570 0.654
O8 O 0.338 0.063 0.163
O9 O 0.340 0.588 0.155
O10 O 0.357 0.095 0.682
O11 O 0.466 0.263 0.493
O12 O 0.488 0.738 0.007

=====

Record 10
# BaNiS2 | Materials Project | GGA-PBE | relaxed
# - total magnetization (μB/f.u.) = 0.0
# - E_form (eV/atom) = -1.438
data_BaNiS2
_chemical_formula_sum 'Ba2 Ni2 S4'
_space_group_name_H-M_alt 'P 4/n m m'
_space_group_IT_number 129
_cell_length_a 4.421
_cell_length_b 4.421
_cell_length_c 8.973
_cell_angle_alpha 90.00
_cell_angle_beta 90.00
_cell_angle_gamma 90.00
loop_
_space_group_symop_operation_xyz
'x,y,z'
'-x,-y,-z'
'-y+1/2,x,z'
'y+1/2,-x,-z'
'-x+1/2,-y+1/2,z'
'x+1/2,y+1/2,-z'
'y,-x+1/2,z'
'-y,x+1/2,-z'
'x+1/2,-y,-z'
'-x+1/2,y,z'
'-y,-x,-z'
'y,x,z'
'-x,y+1/2,-z'
'x,-y+1/2,z'
'y+1/2,x+1/2,-z'
'-y+1/2,-x+1/2,z'
loop_
_atom_site_label
_atom_site_type_symbol
_atom_site_fract_x
_atom_site_fract_y
_atom_site_fract_z
Ba1 Ba 0.250 0.250 0.198
Ni1 Ni 0.250 0.250 0.585
S1 S 0.250 0.250 0.842
S2 S 0.250 0.750 0.500

=====

- Among the records above, which one has the highest E_form?
  YMg

=====

Please write out number 3 again, unchanged.
# LiSbP2O7 | Materials Project | GGA-PBE | relaxed
# - total magnetization (μB/f.u.) = 0.0
# - E_form (eV/atom) = -2.466
data_LiSbP2O7
_chemical_formula_sum 'Li4 Sb4 P8 O28'
_space_group_name_H-M_alt 'P 1 21/c 1'
_space_group_IT_number 14
_cell_length_a 7.167
_cell_length_b 8.696
_cell_length_c 9.908
_cell_angle_alpha 90.00
_cell_angle_beta 109.09
_cell_angle_gamma 90.00
loop_
_space_group_symop_operation_xyz
'x,y,z'
'-x,-y,-z'
'-x,y+1/2,-z+1/2'
'x,-y+1/2,z+1/2'
loop_
_atom_site_label
_atom_site_type_symbol
_atom_site_fract_x
_atom_site_fract_y
_atom_site_fract_z
Li1 Li 0.200 0.040 0.215
Sb1 Sb 0.246 0.009 0.750
P1 P 0.152 0.721 0.942
P2 P 0.401 0.242 0.033
O1 O 0.051 0.581 0.846
O2 O 0.052 0.628 0.383
O3 O 0.184 0.698 0.100
O4 O 0.320 0.115 0.588
O5 O 0.323 0.242 0.869
O6 O 0.362 0.721 0.914
O7 O 0.376 0.092 0.103